Entry from the Materials Project: Zn3Fe4Sb6O24 after structural relaxation (GGA+U).

Lattice parameters (Å, degrees): 6.946 8.303 10.302 104.55 105.45 102.23
Atoms (fractional coordinates):
O  0.662  0.969  0.577
O  0.340  0.242  0.982
O  0.660  0.758  0.018
O  0.250  0.498  0.741
O  0.865  0.968  0.354
O  0.853  0.655  0.579
O  0.750  0.502  0.259
O  0.512  0.220  0.720
O  0.200  0.424  0.172
O  0.234  0.788  0.986
O  0.135  0.032  0.646
O  0.338  0.031  0.423
O  0.006  0.733  0.170
O  0.553  0.127  0.233
O  0.447  0.873  0.767
O  0.068  0.053  0.135
O  0.147  0.345  0.421
O  0.488  0.780  0.280
O  0.787  0.295  0.534
O  0.800  0.576  0.828
O  0.766  0.212  0.014
O  0.994  0.267  0.830
O  0.932  0.947  0.865
O  0.213  0.705  0.466
Zn  0.000  0.500  0.500
Zn  0.284  0.288  0.791
Zn  0.716  0.712  0.209
Fe  0.042  0.210  0.013
Fe  0.958  0.790  0.987
Fe  0.622  0.044  0.390
Fe  0.378  0.956  0.610
Sb  0.399  0.725  0.876
Sb  0.107  0.107  0.334
Sb  0.781  0.347  0.727
Sb  0.219  0.653  0.273
Sb  0.601  0.275  0.124
Sb  0.893  0.893  0.666

ρ = 4.82 g/cm3
SG = P-1
formation energy = -1648 meV/atom

=====

Entry from the Materials Project: MnCoO4 after structural relaxation (GGA+U).

Lattice parameters (Å, degrees): 4.355 4.355 2.917 90.00 90.00 90.51
Atoms (fractional coordinates):
Mn  0.000  0.000  0.500
O  0.200  0.200  0.000
O  0.310  0.690  0.500
O  0.800  0.800  0.000
O  0.690  0.310  0.500
Co  0.500  0.500  0.000

ρ = 5.34 g/cm3
SG = Cmmm
formation energy = -1376 meV/atom

=====

Entry from the Materials Project: NiH12S2O14 after structural relaxation (GGA+U).

Lattice parameters (Å, degrees): 9.360 12.657 6.429 90.00 105.46 90.00
Atoms (fractional coordinates):
O  0.613  0.829  0.061
O  0.159  0.890  0.973
O  0.496  0.565  0.294
O  0.551  0.081  0.753
O  0.420  0.225  0.586
O  0.167  0.104  0.159
O  0.841  0.110  0.027
O  0.080  0.725  0.414
O  0.718  0.935  0.385
O  0.341  0.390  0.027
O  0.996  0.935  0.294
O  0.387  0.171  0.939
O  0.004  0.065  0.706
O  0.333  0.604  0.841
O  0.282  0.065  0.615
O  0.504  0.435  0.706
O  0.659  0.610  0.973
O  0.449  0.919  0.247
O  0.887  0.329  0.939
O  0.051  0.419  0.753
O  0.833  0.896  0.841
O  0.949  0.581  0.247
O  0.667  0.396  0.159
O  0.920  0.275  0.586
O  0.580  0.775  0.414
O  0.218  0.565  0.385
O  0.782  0.435  0.615
O  0.113  0.671  0.061
H  0.239  0.400  0.940
H  0.215  0.089  0.311
H  0.261  0.900  0.060
H  0.096  0.056  0.662
H  0.972  0.138  0.670
H  0.739  0.100  0.940
H  0.472  0.362  0.670
H  0.596  0.444  0.662
H  0.746  0.376  0.092
H  0.364  0.315  0.010
H  0.785  0.911  0.689
H  0.636  0.685  0.990
H  0.028  0.862  0.330
H  0.761  0.600  0.060
H  0.864  0.185  0.010
H  0.715  0.411  0.311
H  0.136  0.815  0.990
H  0.254  0.624  0.908
H  0.754  0.876  0.908
H  0.528  0.638  0.330
H  0.904  0.944  0.338
H  0.404  0.556  0.338
H  0.246  0.124  0.092
H  0.285  0.589  0.689
Ni  0.000  0.000  0.000
Ni  0.500  0.500  0.000
S  0.404  0.134  0.730
S  0.904  0.366  0.730
S  0.596  0.866  0.270
S  0.096  0.634  0.270

ρ = 1.62 g/cm3
SG = P2_1/c
formation energy = -1361 meV/atom

=====

Entry from the Materials Project: HfMg6VO8 after structural relaxation (GGA+U).

Lattice parameters (Å, degrees): 8.823 4.338 4.338 90.00 90.00 90.00
Atoms (fractional coordinates):
Mg  0.741  0.500  0.000
Mg  0.500  0.000  0.000
Mg  0.259  0.500  0.000
Mg  0.259  0.000  0.500
Mg  0.741  0.000  0.500
Mg  0.500  0.500  0.500
O  0.000  0.000  0.500
O  0.500  0.500  0.000
O  0.500  0.000  0.500
O  0.743  0.000  0.000
O  0.000  0.500  0.000
O  0.258  0.500  0.500
O  0.257  0.000  0.000
O  0.742  0.500  0.500
Hf  0.000  0.500  0.500
V  0.000  0.000  0.000

ρ = 5.03 g/cm3
excess energy over the best structure of this formula in the dataset = 0.0000 eV per atom
SG = P4/mmm
formation energy = -2743 meV/atom

=====

Entry from the Materials Project: Li3Mn2CoO6 after structural relaxation (GGA+U).

Lattice parameters (Å, degrees): 2.864 9.821 8.252 95.26 99.66 90.53
Atoms (fractional coordinates):
Mn  0.664  0.995  0.328
Mn  0.166  0.494  0.328
Mn  0.834  0.506  0.672
Mn  0.336  0.005  0.672
Li  0.247  0.246  0.494
Li  0.417  0.755  0.842
Li  0.077  0.745  0.158
Li  0.583  0.245  0.158
Li  0.753  0.754  0.506
Li  0.923  0.255  0.842
O  0.704  0.383  0.410
O  0.802  0.119  0.595
O  0.198  0.881  0.405
O  0.132  0.112  0.256
O  0.933  0.622  0.929
O  0.868  0.888  0.744
O  0.626  0.606  0.245
O  0.067  0.378  0.071
O  0.296  0.617  0.590
O  0.531  0.888  0.071
O  0.469  0.112  0.929
O  0.374  0.394  0.755
Co  0.000  0.000  0.000
Co  0.500  0.500  0.000

ρ = 4.16 g/cm3
excess energy over the best structure of this formula in the dataset = 0.0288 eV per atom
SG = P-1
formation energy = -1975 meV/atom

=====

Entry from the Materials Project: CoPO4 after structural relaxation (GGA+U).

Lattice parameters (Å, degrees): 10.355 5.336 8.730 54.36 90.00 90.00
Atoms (fractional coordinates):
O  0.950  0.053  0.719
O  0.550  0.053  0.219
O  0.130  0.421  0.662
O  0.340  0.850  0.394
O  0.050  0.947  0.281
O  0.370  0.421  0.162
O  0.660  0.150  0.606
O  0.348  0.099  0.038
O  0.652  0.901  0.962
O  0.870  0.579  0.338
O  0.848  0.901  0.462
O  0.840  0.150  0.106
O  0.152  0.099  0.538
O  0.630  0.579  0.838
O  0.160  0.850  0.894
O  0.450  0.947  0.781
Co  0.671  0.173  0.026
Co  0.171  0.827  0.474
Co  0.829  0.173  0.526
Co  0.329  0.827  0.974
P  0.902  0.896  0.297
P  0.402  0.104  0.203
P  0.598  0.896  0.797
P  0.098  0.104  0.703

ρ = 2.61 g/cm3
SG = P2_1/c
formation energy = -2082 meV/atom

=====

Entry from the Materials Project: Li2MnSiO5 after structural relaxation (GGA+U).

Lattice parameters (Å, degrees): 4.487 6.384 6.384 90.00 90.00 90.00
Atoms (fractional coordinates):
Li  0.000  0.000  0.500
Li  0.000  0.500  0.500
Li  0.000  0.500  0.000
Li  0.000  0.000  0.000
O  0.281  0.750  0.044
O  0.719  0.956  0.250
O  0.719  0.250  0.956
O  0.771  0.750  0.750
O  0.281  0.456  0.750
O  0.719  0.544  0.250
O  0.281  0.750  0.456
O  0.281  0.044  0.750
O  0.719  0.250  0.544
O  0.229  0.250  0.250
Mn  0.620  0.250  0.250
Mn  0.380  0.750  0.750
Si  0.500  0.250  0.750
Si  0.500  0.750  0.250

ρ = 3.21 g/cm3
SG = P4/nmm
formation energy = -2459 meV/atom

=====

Entry from the Materials Project: MgTeW3O12 after structural relaxation (GGA+U).

Lattice parameters (Å, degrees): 5.741 11.565 10.272 26.70 49.21 54.32
Atoms (fractional coordinates):
O  0.653  0.216  0.842
O  0.742  0.905  0.337
O  0.398  0.313  0.153
O  0.232  0.610  0.626
O  0.874  0.154  0.291
O  0.175  0.820  0.756
O  0.770  0.400  0.377
O  0.249  0.139  0.625
O  0.318  0.778  0.172
O  0.856  0.713  0.228
O  0.162  0.273  0.775
O  0.615  0.678  0.883
W  0.977  0.009  0.979
W  0.535  0.998  0.468
W  0.453  0.500  0.499
Mg  0.186  0.508  0.192
Te  0.987  0.489  0.984

ρ = 6.41 g/cm3
excess energy over the best structure of this formula in the dataset = 0.0000 eV per atom
SG = P1
formation energy = -2107 meV/atom

=====

Entry from the Materials Project: Li5CoHO4 after structural relaxation (GGA+U).

Lattice parameters (Å, degrees): 8.809 8.945 10.698 90.00 90.00 90.00
Atoms (fractional coordinates):
Li  0.972  0.584  0.200
Li  0.879  0.750  0.018
Li  0.621  0.250  0.518
Li  0.207  0.583  0.643
Li  0.207  0.917  0.643
Li  0.577  0.435  0.073
Li  0.923  0.935  0.573
Li  0.423  0.565  0.927
Li  0.379  0.750  0.482
Li  0.707  0.917  0.857
Li  0.424  0.250  0.938
Li  0.472  0.916  0.300
Li  0.293  0.417  0.143
Li  0.293  0.083  0.143
Li  0.077  0.065  0.427
Li  0.028  0.084  0.800
Li  0.113  0.569  0.986
Li  0.576  0.750  0.062
Li  0.707  0.583  0.857
Li  0.077  0.435  0.427
Li  0.613  0.931  0.514
Li  0.528  0.416  0.700
Li  0.076  0.750  0.438
Li  0.972  0.916  0.200
Li  0.923  0.565  0.573
Li  0.121  0.250  0.982
Li  0.528  0.084  0.700
Li  0.577  0.065  0.073
Li  0.887  0.431  0.014
Li  0.887  0.069  0.014
Li  0.793  0.417  0.357
Li  0.613  0.569  0.514
Li  0.793  0.083  0.357
Li  0.387  0.069  0.486
Li  0.423  0.935  0.927
Li  0.028  0.416  0.800
Li  0.387  0.431  0.486
Li  0.924  0.250  0.562
Li  0.472  0.584  0.300
Li  0.113  0.931  0.986
H  0.210  0.596  0.311
H  0.290  0.404  0.811
H  0.210  0.904  0.311
H  0.790  0.404  0.689
H  0.710  0.904  0.189
H  0.290  0.096  0.811
H  0.790  0.096  0.689
H  0.710  0.596  0.189
Co  0.480  0.750  0.718
Co  0.286  0.750  0.120
Co  0.214  0.250  0.620
Co  0.786  0.750  0.380
Co  0.980  0.750  0.782
Co  0.714  0.250  0.880
Co  0.020  0.250  0.218
Co  0.520  0.250  0.282
O  0.560  0.750  0.876
O  0.258  0.572  0.391
O  0.574  0.414  0.382
O  0.926  0.586  0.882
O  0.576  0.411  0.884
O  0.242  0.072  0.891
O  0.576  0.089  0.884
O  0.742  0.072  0.609
O  0.426  0.914  0.618
O  0.424  0.911  0.116
O  0.742  0.428  0.609
O  0.419  0.250  0.609
O  0.076  0.411  0.616
O  0.924  0.589  0.384
O  0.440  0.250  0.124
O  0.758  0.572  0.109
O  0.242  0.428  0.891
O  0.074  0.086  0.118
O  0.074  0.414  0.118
O  0.940  0.250  0.376
O  0.924  0.911  0.384
O  0.076  0.089  0.616
O  0.258  0.928  0.391
O  0.581  0.750  0.391
O  0.758  0.928  0.109
O  0.919  0.250  0.891
O  0.424  0.589  0.116
O  0.926  0.914  0.882
O  0.081  0.750  0.109
O  0.426  0.586  0.618
O  0.060  0.750  0.624
O  0.574  0.086  0.382

ρ = 2.50 g/cm3
SG = Pnma
formation energy = -1807 meV/atom

=====

Entry from the Materials Project: Li2NiSnO4 after structural relaxation (GGA+U).

Lattice parameters (Å, degrees): 5.988 5.988 9.853 72.31 107.69 90.00
Atoms (fractional coordinates):
O  0.632  0.868  0.263
O  0.490  0.510  0.479
O  0.368  0.132  0.737
O  0.382  0.618  0.763
O  0.510  0.990  0.521
O  0.760  0.240  0.021
O  0.882  0.118  0.763
O  0.118  0.882  0.237
O  0.868  0.632  0.737
O  0.010  0.490  0.521
O  0.132  0.368  0.263
O  0.618  0.382  0.237
O  0.740  0.760  0.979
O  0.260  0.740  0.021
O  0.990  0.010  0.479
O  0.240  0.260  0.979
Li  0.750  0.250  0.500
Li  0.625  0.375  0.750
Li  0.875  0.625  0.250
Li  0.250  0.750  0.500
Li  0.125  0.875  0.750
Li  0.500  0.000  0.000
Li  0.000  0.500  0.000
Li  0.375  0.125  0.250
Sn  0.875  0.125  0.250
Sn  0.125  0.375  0.750
Sn  0.625  0.875  0.750
Sn  0.375  0.625  0.250
Ni  0.250  0.250  0.500
Ni  0.750  0.750  0.500
Ni  0.500  0.500  0.000
Ni  0.000  0.000  0.000

ρ = 5.32 g/cm3
maximum piezoelectric response = 16.55 C/m²
formation energy = -1960 meV/atom

=====

Entry from the Materials Project: Ba2Co3O7 after structural relaxation (GGA+U).

Lattice parameters (Å, degrees): 3.734 3.748 12.997 90.04 90.24 89.96
Atoms (fractional coordinates):
Ba  0.499  0.496  0.193
Ba  0.497  0.495  0.807
O  0.501  0.996  0.353
O  0.003  0.495  0.000
O  0.998  0.995  0.861
O  0.999  0.995  0.138
O  0.001  0.496  0.368
O  0.494  0.995  0.642
O  0.994  0.495  0.640
Co  0.000  0.995  0.000
Co  0.001  0.996  0.373
Co  0.994  0.995  0.625

ρ = 5.14 g/cm3
excess energy over the best structure of this formula in the dataset = 0.0076 eV per atom
SG = P1
formation energy = -1639 meV/atom

=====

no.,total moment (μB/atom)
1,0.5406
2,0.6821
3,0.1379
4,0.0894
5,0.0836
6,0.6667
7,0.0000
8,0.0000
9,0.2727
10,0.0000
11,0.8065